Entry 1:
VASP calculation (PBE-GGA) on an optimized crystal structure of InPd.

a b c (Å): 3.3096 3.3096 3.3096
angles (deg): 90.00 90.00 90.00
Last column: nearest neighbours and their distance in Å.
Space group Pm-3m (No. 221)
Asymmetric unit:
In (0.0000, 0.0000, 0.0000) x1  8 Pd 2.87
Pd (0.5000, 0.5000, 0.5000) x1  8 In 2.87

=====

Entry 2:
VASP calculation (PBE-GGA) on an optimized crystal structure of PmInPd2.

a b c (Å): 6.9176 6.9176 6.9176
angles (deg): 90.00 90.00 90.00
Last column: nearest neighbours and their distance in Å.
Space group Fm-3m (No. 225)
Asymmetric unit:
Pm (0.0000, 0.0000, 0.0000) x4  8 Pd 3.00
In (0.0000, 0.0000, 0.5000) x4  8 Pd 3.00
Pd (0.2500, 0.2500, 0.2500) x8  4 In 3.00, 4 Pm 3.00

=====

Entry 3:
VASP calculation (PBE-GGA) on an optimized crystal structure of PrInPd.

a b c (Å): 7.8125 7.8125 4.0966
angles (deg): 90.00 90.00 120.00
Last column: nearest neighbours and their distance in Å.
Space group P-62m (No. 189)
Asymmetric unit:
Pr (0.0000, 0.5894, 0.0000) x3  5 Pd 3.13-3.21, 6 In 3.35-3.47
In (0.0000, 0.2506, 0.5000) x3  4 Pd 2.83-2.98
Pd (0.0000, 0.0000, 0.0000) x1  6 In 2.83
Pd (0.3333, 0.6667, 0.5000) x2  3 In 2.98, 6 Pr 3.13

=====

Entry 4:
VASP calculation (PBE-GGA) on an optimized crystal structure of PrIn4Pd2.

a b c (Å): 4.6339 10.0503 33.5923
angles (deg): 90.00 90.00 90.00
Last column: nearest neighbours and their distance in Å.
Space group Pmc2_1 (No. 26)
Asymmetric unit:
Pr (0.0000, 0.0417, 0.0000) x2  9 In 3.22-3.52, 4 Pd 3.45-3.57
Pr (0.0000, 0.1736, 0.6987) x2  11 In 3.27-3.65, 4 Pd 3.38-3.46
Pr (0.0000, 0.2162, 0.2993) x2  9 In 3.22-3.56, 4 Pd 3.45-3.56
Pr (0.5000, 0.2980, 0.8609) x2  10 In 3.26-3.56, 4 Pd 3.34-3.39
Pr (0.5000, 0.4559, 0.5599) x2  10 In 3.24-3.55, 4 Pd 3.37-3.53
In (0.0000, 0.0336, 0.1114) x2  4 Pd 2.77-2.98
In (0.0000, 0.1202, 0.8007) x2  2 Pd 2.75-2.76
In (0.0000, 0.1754, 0.1941) x2  4 Pd 2.80-2.81, 2 In 3.12-3.14
In (0.0000, 0.1934, 0.4129) x2  5 Pd 2.78-2.94
In (0.0000, 0.2871, 0.9290) x2  3 Pd 2.79-2.82, 1 In 2.97
In (0.0000, 0.3085, 0.5009) x2  3 Pd 2.81-2.84, 1 In 3.13
In (0.0000, 0.3828, 0.0125) x2  3 Pd 2.79-2.80, 1 In 2.97
In (0.0000, 0.4464, 0.6322) x2  4 Pd 2.82-2.86, 1 In 3.14
In (0.0000, 0.4694, 0.3700) x2  3 Pd 2.78-2.86
In (0.0000, 0.4726, 0.2226) x2  5 Pd 2.79-2.95
In (0.5000, 0.0207, 0.2517) x2  2 Pd 2.85, 2 In 3.18
In (0.5000, 0.0483, 0.9312) x2  4 Pd 2.77-2.87, 1 In 3.00
In (0.5000, 0.0529, 0.3473) x2  3 Pd 2.80-2.82, 1 In 3.00
In (0.5000, 0.1223, 0.5449) x2  3 Pd 2.79-2.81, 1 In 2.99
In (0.5000, 0.1910, 0.0569) x2  3 Pd 2.84, 1 In 3.17
In (0.5000, 0.2034, 0.6305) x2  4 Pd 2.78-2.85, 1 In 2.99
In (0.5000, 0.2991, 0.7561) x2  3 Pd 2.81-2.83, 1 In 2.98
In (0.5000, 0.3273, 0.1425) x2  5 Pd 2.83-2.94
In (0.5000, 0.4385, 0.2975) x2  4 Pd 2.80-2.87, 1 In 2.98
In (0.5000, 0.4666, 0.4445) x2  3 Pd 2.74-2.81
Pd (0.0000, 0.0612, 0.8809) x2  7 In 2.76-2.87
Pd (0.0000, 0.2234, 0.5814) x2  7 In 2.77-2.85
Pd (0.0000, 0.3028, 0.0922) x2  7 In 2.78-2.88
Pd (0.0000, 0.3937, 0.7955) x2  7 In 2.75-2.87
Pd (0.5000, 0.0466, 0.1671) x2  7 In 2.80-2.98
Pd (0.5000, 0.2030, 0.4654) x2  7 In 2.74-2.91
Pd (0.5000, 0.2836, 0.9770) x2  7 In 2.74-2.84
Pd (0.5000, 0.2918, 0.2266) x2  7 In 2.80-2.95
Pd (0.5000, 0.3168, 0.3738) x2  7 In 2.78-2.94
Pd (0.5000, 0.4226, 0.6812) x2  7 In 2.78-2.90

=====

Entry 5:
VASP calculation (PBE-GGA) on an optimized crystal structure of PrInPd2.

a b c (Å): 6.9725 6.9725 6.9725
angles (deg): 90.00 90.00 90.00
Last column: nearest neighbours and their distance in Å.
Space group Fm-3m (No. 225)
Asymmetric unit:
Pr (0.0000, 0.0000, 0.0000) x4  8 Pd 3.02
In (0.0000, 0.0000, 0.5000) x4  8 Pd 3.02
Pd (0.2500, 0.2500, 0.2500) x8  4 In 3.02, 4 Pr 3.02

=====

Entry 6:
VASP calculation (PBE-GGA) on an optimized crystal structure of PrIn2Pd.

a b c (Å): 14.3753 14.3753 9.5671
angles (deg): 90.00 90.00 90.00
Last column: nearest neighbours and their distance in Å.
Space group I4mm (No. 107)
Asymmetric unit:
Pr (0.0000, 0.0000, 0.0000) x2  4 Pd 3.33, 8 In 3.43-3.58
Pr (0.0000, 0.0000, 0.4706) x2  4 Pd 3.15, 4 In 3.47
Pr (0.0000, 0.2806, 0.0755) x8  3 Pd 3.21-3.55, 9 In 3.28-3.58
Pr (0.2034, 0.2034, 0.5885) x8  4 Pd 3.18-3.35, 6 In 3.32-3.38
In (0.0000, 0.1675, 0.7443) x8  3 Pd 2.89-3.05
In (0.0000, 0.3833, 0.5980) x8  3 Pd 2.84-2.94, 2 In 3.13
In (0.1335, 0.1335, 0.2445) x8  3 Pd 2.91-3.09
In (0.1405, 0.3535, 0.3380) x16  3 Pd 2.92-3.00, 2 In 3.13-3.23
Pd (0.0000, 0.2181, 0.4343) x8  6 In 2.84-3.05, 1 Pr 3.15
Pd (0.0000, 0.5000, 0.3454) x4  8 In 2.90-2.94
Pd (0.1601, 0.1601, 0.9267) x8  5 In 2.89-3.09, 3 Pr 3.18-3.21

=====

Entry 7:
VASP calculation (PBE-GGA) on an optimized crystal structure of In2Pd8Se.

a b c (Å): 4.0753 4.0753 11.1499
angles (deg): 90.00 90.00 90.00
Last column: nearest neighbours and their distance in Å.
Space group P4/mmm (No. 123)
Asymmetric unit:
In (0.0000, 0.0000, 0.1777) x2  12 Pd 2.84-2.88
Pd (0.0000, 0.5000, 0.0000) x2  4 In 2.84, 8 Pd 2.86-2.88
Pd (0.0000, 0.5000, 0.3594) x4  2 Se 2.57, 2 Pd 2.86, 2 In 2.87
Pd (0.5000, 0.5000, 0.1798) x2  8 Pd 2.86, 4 In 2.88
Se (0.5000, 0.5000, 0.5000) x1  8 Pd 2.57

=====

Entry 8:
VASP calculation (PBE-GGA) on an optimized crystal structure of SmIn2Pd.

a b c (Å): 14.0882 14.0882 9.2580
angles (deg): 90.00 90.00 90.00
Last column: nearest neighbours and their distance in Å.
Space group I4mm (No. 107)
Asymmetric unit:
Sm (0.0000, 0.0000, 0.0000) x2  4 Pd 3.05, 4 In 3.41
Sm (0.0000, 0.0000, 0.4695) x2  4 Pd 3.26, 8 In 3.33-3.46
Sm (0.0000, 0.2806, 0.3946) x8  3 Pd 3.14-3.45, 9 In 3.19-3.51
Sm (0.2018, 0.2018, 0.8835) x8  4 Pd 3.12-3.27, 7 In 3.24-3.49
In (0.0000, 0.1652, 0.7264) x8  3 Pd 2.83-2.95
In (0.0000, 0.3828, 0.8728) x8  3 Pd 2.80-2.85, 2 In 3.07
In (0.1334, 0.1334, 0.2302) x8  3 Pd 2.85-2.94, 2 Sm 3.19
In (0.1414, 0.3517, 0.1321) x16  3 Pd 2.89-2.92, 3 In 3.07-3.21, 1 Sm 3.23
Pd (0.0000, 0.2151, 0.0355) x8  6 In 2.80-2.95, 1 Sm 3.05
Pd (0.0000, 0.5000, 0.1231) x4  8 In 2.84-2.89
Pd (0.1600, 0.1600, 0.5424) x8  5 In 2.83-2.94, 3 Sm 3.12-3.14

=====

Entry 9:
VASP calculation (PBE-GGA) on an optimized crystal structure of Sm2In8Pd.

a b c (Å): 4.7711 4.7711 12.1377
angles (deg): 90.00 90.00 90.00
Last column: nearest neighbours and their distance in Å.
Space group P4/mmm (No. 123)
Asymmetric unit:
Sm (0.0000, 0.0000, 0.1895) x2  12 In 3.28-3.37
In (0.0000, 0.5000, 0.0000) x2  4 Sm 3.31, 8 In 3.34-3.37
In (0.0000, 0.5000, 0.3749) x4  2 Pd 2.83, 1 In 3.04
In (0.5000, 0.5000, 0.1923) x2  8 In 3.26-3.34, 4 Sm 3.37
Pd (0.0000, 0.0000, 0.5000) x1  8 In 2.83

=====

Entry 10:
VASP calculation (PBE-GGA) on an optimized crystal structure of SmInPd.

a b c (Å): 7.8520 7.8520 3.8762
angles (deg): 90.00 90.00 120.00
Last column: nearest neighbours and their distance in Å.
Space group P-62m (No. 189)
Asymmetric unit:
Sm (0.0000, 0.5916, 0.0000) x3  5 Pd 3.07-3.21, 6 In 3.26-3.41
In (0.0000, 0.2573, 0.5000) x3  4 Pd 2.80-2.96
Pd (0.0000, 0.0000, 0.0000) x1  6 In 2.80
Pd (0.3333, 0.6667, 0.5000) x2  3 In 2.96, 6 Sm 3.07

=====

Entry 11:
VASP calculation (PBE-GGA) on an optimized crystal structure of SrIn4Pd.

a b c (Å): 4.6445 17.3237 7.6226
angles (deg): 90.00 90.00 90.00
Last column: nearest neighbours and their distance in Å.
Space group Cmcm (No. 63)
Asymmetric unit:
Sr (0.0000, 0.1241, 0.2500) x4  11 In 3.36-3.69, 2 Pd 3.49
In (0.0000, 0.0698, 0.7500) x4  1 Pd 2.70
In (0.0000, 0.3147, 0.0516) x8  3 Pd 2.77-2.86, 1 In 3.02
In (0.0000, 0.5000, 0.0000) x4  6 In 3.23-3.24
Pd (0.0000, 0.2256, 0.7500) x4  7 In 2.70-2.86

=====

Entry 12:
VASP calculation (PBE-GGA) on an optimized crystal structure of SrInPd.

a b c (Å): 7.7284 4.5608 8.6784
angles (deg): 90.00 90.00 90.00
Last column: nearest neighbours and their distance in Å.
Space group Pnma (No. 62)
Asymmetric unit:
Sr (0.0294, 0.2500, 0.1788) x4  5 Pd 3.22-3.34, 5 In 3.46-3.53
In (0.1457, 0.2500, 0.5654) x4  4 Pd 2.86-2.91
Pd (0.2211, 0.7500, 0.3784) x4  4 In 2.86-2.91

=====

Entry 13:
VASP calculation (PBE-GGA) on an optimized crystal structure of Sr2InPd2.

a b c (Å): 10.5931 6.0974 8.4190
angles (deg): 90.00 103.74 90.00
Last column: nearest neighbours and their distance in Å.
Space group C2/c (No. 15)
Asymmetric unit:
Sr (0.1486, 0.1396, 0.1479) x8  6 Pd 3.25-3.34, 3 In 3.60-3.62
In (0.0000, 0.3649, 0.7500) x4  4 Pd 2.78-2.80
Pd (0.1337, 0.3639, 0.5030) x8  2 In 2.78-2.80, 1 Pd 2.84

=====

Entry 14:
VASP calculation (PBE-GGA) on an optimized crystal structure of Tb2InPd2.

a b c (Å): 7.7575 7.7575 3.7513
angles (deg): 90.00 90.00 90.00
Last column: nearest neighbours and their distance in Å.
Space group P4/mbm (No. 127)
Asymmetric unit:
Tb (0.1739, 0.3261, 0.0000) x4  6 Pd 2.87-3.02
In (0.0000, 0.0000, 0.5000) x2  4 Pd 3.05
Pd (0.1277, 0.6277, 0.5000) x4  1 Pd 2.80, 6 Tb 2.87-3.02, 2 In 3.05

=====

Entry 15:
VASP calculation (PBE-GGA) on an optimized crystal structure of TbInPd.

a b c (Å): 7.8063 7.8063 3.7936
angles (deg): 90.00 90.00 120.00
Last column: nearest neighbours and their distance in Å.
Space group P-62m (No. 189)
Asymmetric unit:
Tb (0.0000, 0.5907, 0.0000) x3  5 Pd 3.03-3.20, 6 In 3.20-3.38
In (0.0000, 0.2605, 0.5000) x3  4 Pd 2.78-2.93
Pd (0.0000, 0.0000, 0.0000) x1  6 In 2.78
Pd (0.3333, 0.6667, 0.5000) x2  3 In 2.93, 6 Tb 3.03

=====

Entry 16:
VASP calculation (PBE-GGA) on an optimized crystal structure of Tb5In4Pd2.

a b c (Å): 8.1038 18.3990 3.6739
angles (deg): 90.00 90.00 90.00
Last column: nearest neighbours and their distance in Å.
Space group Pbam (No. 55)
Asymmetric unit:
Tb (0.0000, 0.0000, 0.0000) x2  8 In 3.23-3.35, 2 Tb 3.47
Tb (0.1147, 0.4180, 0.0000) x4  2 Pd 2.87
Tb (0.2443, 0.2208, 0.0000) x4  4 Pd 2.97-2.98
In (0.0769, 0.8515, 0.5000) x4  2 Pd 2.99-3.32, 1 In 3.29, 2 Tb 3.33
In (0.2126, 0.5700, 0.5000) x4  1 Pd 3.02, 6 Tb 3.23-3.35, 1 In 3.29
Pd (0.0280, 0.3044, 0.5000) x4  6 Tb 2.87-2.98, 2 In 2.99-3.02

=====

no.,formation energy from the elements (meV per atom)
1,-495
2,-749
3,-772
4,-572
5,-704
6,-635
7,-453
8,-655
9,-434
10,-795
11,-446
12,-653
13,-667
14,-869
15,-815
16,-686